[1]
{
  "formula": "GdMg",
  "functional": "GGA-PBE",
  "state": "relaxed",
  "delta_e_f_kj_per_mol_atoms": -10.2,
  "e_tot_ev_per_atom": -7.944,
  "lattice_angstrom": [[3.827, 0.000, 0.000], [0.000, 3.827, 0.000], [0.000, 0.000, 3.827]],
  "species": ["Gd", "Mg"],
  "frac_coords": [[0.500, 0.500, 0.500], [0.000, 0.000, 0.000]]
}

---

[2]
{
  "formula": "Gd2Mg",
  "functional": "GGA-PBE",
  "state": "relaxed",
  "delta_e_f_kj_per_mol_atoms": -5.2,
  "e_tot_ev_per_atom": -9.972,
  "lattice_angstrom": [[-1.992, 0.215, -3.148], [6.078, -1.944, -6.189], [-1.278, -5.398, 0.440]],
  "species": ["Gd", "Gd", "Gd", "Gd", "Mg", "Mg"],
  "frac_coords": [[0.116, 0.768, 0.500], [0.797, 0.405, 0.500], [0.980, 0.039, 0.000], [0.662, 0.676, 0.000], [0.322, 0.356, 0.000], [0.456, 0.089, 0.500]]
}